--- w ---
Here is a relaxed LiV2OF5 crystal from the Materials Project. Energies are from PBE with a Hubbard U.

Geometry as extended XYZ:
```
27
Lattice="-2.655 -2.640 -3.649 2.307 -2.569 3.926 -11.612 1.179 7.597" Properties=species:S:1:pos:R:3 pbc="T T T"
F -5.005 -2.012 5.278
F -5.068 -3.637 1.532
F -7.082 -3.239 6.492
F -6.955 -2.024 2.596
F -10.712 -1.752 5.320
F -1.265 -2.529 2.566
F -5.802 -1.527 -0.122
F -8.107 -1.113 5.005
F -8.987 -1.490 7.621
F -1.720 -1.893 -2.130
F -2.956 -2.285 0.239
F -0.095 -1.421 0.075
F -3.760 -1.520 2.794
F -10.144 -0.690 9.926
F -6.064 -1.083 7.920
O -5.828 0.261 3.816
O 0.226 -2.211 4.944
O -12.165 -1.491 2.912
V -12.507 -2.318 4.556
V -3.138 -3.270 2.005
V 0.444 -3.244 3.398
V -4.171 -0.377 4.409
V -8.950 -2.672 5.970
V -7.560 -0.211 3.282
Li -10.491 0.173 5.211
Li -6.047 -3.022 3.990
Li -1.228 -0.592 2.470
```

Magnetization in μB/f.u.: 4.0
ρ in Mg/m³: 3.3
V in A^3/atom: 12.21
Space group: No. 152

--- x ---
Here is a relaxed LiV2OF5 crystal from the Materials Project. Energies are from PBE with a Hubbard U.

Geometry as extended XYZ:
```
27
Lattice="2.621 11.305 0.000 -2.621 11.305 0.000 0.000 0.931 5.523" Properties=species:S:1:pos:R:3 pbc="T T T"
F 0.599 17.404 5.283
F 0.619 14.237 3.974
F 0.599 6.138 0.240
F 1.316 13.853 1.263
F 1.268 6.587 3.053
F 1.617 11.305 0.000
F 0.619 9.305 1.549
F -1.498 12.818 0.693
F 1.247 16.858 2.501
F 1.316 9.689 4.259
F -1.470 10.642 4.892
F -2.180 13.251 3.408
F 0.102 18.968 1.072
F -2.180 10.291 2.114
F 0.102 4.574 4.451
V -0.419 20.729 0.470
V -0.466 16.967 1.406
V -0.466 6.574 4.117
V -0.429 13.502 2.334
V -0.419 2.812 5.052
V -0.429 10.040 3.189
Li -0.300 4.049 2.181
Li 2.048 11.771 2.761
Li -0.300 19.493 3.342
O -1.046 8.269 3.634
O -1.046 15.273 1.888
O 0.136 11.771 2.761
```

Magnetization in μB/f.u.: 4.0
ρ in Mg/m³: 3.3
V in A^3/atom: 12.12
Space group: No. 1

--- y ---
Here is a relaxed LiV2OF5 crystal from the Materials Project. Energies are from PBE with a Hubbard U.

Geometry as extended XYZ:
```
18
Lattice="5.136 0.000 0.000 0.000 -0.406 5.484 0.000 -7.668 0.158" Properties=species:S:1:pos:R:3 pbc="T T T"
O 3.539 -0.518 1.058
O 1.598 -4.352 1.136
F 1.077 -7.225 1.750
F 1.628 -7.505 4.620
F 3.175 -5.931 2.847
F 4.375 -5.774 0.146
F 1.962 -2.097 2.768
F 4.222 -0.784 3.810
F 4.059 -3.390 1.670
F 3.508 -3.671 4.541
F 0.762 -1.940 0.067
F 0.914 -4.618 3.889
V 0.079 -3.890 0.140
V 5.057 -0.056 0.061
V 2.658 -0.215 2.701
V 2.478 -4.049 2.781
Li 2.640 -2.223 0.496
Li 2.497 -6.057 0.575
```

Magnetization in μB/f.u.: 0.0
ρ in Mg/m³: 3.4
V in A^3/atom: 11.98
Space group: No. 7

Relative energies in meV/atom: w 13; x 37; y 0

--- w ---
Here is a relaxed Li2VO2F crystal from the Materials Project. Energies are from PBE with a Hubbard U.

Geometry as extended XYZ:
```
12
Lattice="0.000 2.083 2.083 -6.338 4.215 -2.132 -2.106 -2.124 4.207" Properties=species:S:1:pos:R:3 pbc="T T T"
Li -6.334 4.186 2.062
Li -2.114 -0.105 2.187
Li -2.113 2.099 -0.016
Li -4.217 2.179 1.987
V -4.249 4.183 -0.018
V -8.419 2.106 2.059
F -4.218 2.093 4.156
F -2.112 2.064 2.101
O -6.319 4.262 -0.097
O -6.350 2.027 2.139
O -2.167 -0.110 4.275
O -4.163 2.184 -0.102
```

Magnetization in μB/f.u.: 0.0
ρ in Mg/m³: 3.5
V in A^3/atom: 9.28
Space group: No. 12

--- x ---
Here is a relaxed Li2VO2F crystal from the Materials Project. Energies are from PBE with a Hubbard U.

Geometry as extended XYZ:
```
24
Lattice="0.013 4.170 4.180 6.368 2.093 0.013 -0.017 2.109 -6.295" Properties=species:S:1:pos:R:3 pbc="T T T"
Li 2.113 4.217 2.044
Li 4.253 6.268 2.091
Li 0.017 4.141 0.034
Li 4.240 6.280 -2.102
Li 2.107 2.132 -0.046
Li 4.246 4.183 0.000
Li 4.233 4.195 -4.192
Li 0.011 2.056 -2.056
O 6.317 4.108 0.074
O 0.007 4.237 -2.195
O 2.176 4.258 -0.074
O 2.170 2.173 -2.164
O 2.106 6.230 -2.022
O 2.100 4.146 -4.112
O 6.323 6.193 2.165
O 0.001 2.152 -4.285
F 4.268 4.165 2.112
F 4.225 4.202 -2.111
F 4.261 2.081 0.022
F 4.232 6.286 -0.021
V 2.080 2.085 -4.150
V 0.045 4.188 4.138
V 0.039 2.104 2.048
V 2.086 4.169 -2.060
```

Magnetization in μB/f.u.: 0.0
ρ in Mg/m³: 3.4
V in A^3/atom: 9.30

Relative energies in meV/atom: w 0; x 8

--- w ---
Here is a relaxed Li2VO2F crystal from the Materials Project. Energies are from PBE with a Hubbard U.

Geometry as extended XYZ:
```
12
Lattice="1.488 -2.577 0.000 1.488 2.577 0.000 0.000 0.000 14.518" Properties=species:S:1:pos:R:3 pbc="T T T"
Li 0.000 0.000 7.259
Li 1.488 0.859 9.603
Li 1.488 -0.859 4.915
Li 0.000 0.000 0.000
O 0.000 0.000 3.578
O 1.488 0.859 13.199
O 1.488 -0.859 1.319
O 0.000 0.000 10.940
F 1.488 -0.859 8.435
F 1.488 0.859 6.083
V 1.488 -0.859 12.070
V 1.488 0.859 2.448
```

Magnetization in μB/f.u.: 2.0
ρ in Mg/m³: 3.5
V in A^3/atom: 9.28
Space group: No. 164

--- x ---
Here is a relaxed Li2VO2F crystal from the Materials Project. Energies are from PBE with a Hubbard U.

Geometry as extended XYZ:
```
24
Lattice="-4.178 2.106 -2.106 0.000 4.200 4.200 2.082 4.208 -6.307" Properties=species:S:1:pos:R:3 pbc="T T T"
F -0.004 4.205 -2.105
F -0.004 6.305 -0.006
F -2.093 6.308 -2.108
F -2.093 4.208 -4.208
O 0.045 8.452 -2.144
O -2.044 6.347 -6.355
O -2.141 2.070 -2.061
O -2.142 4.170 0.039
O -2.044 8.446 -4.255
O -0.052 2.058 0.033
O 0.045 6.352 -4.243
O -0.052 4.158 2.133
Li -0.032 6.279 -2.080
Li -2.064 6.334 -0.034
Li -0.032 4.180 -4.179
Li -2.064 4.234 -2.134
Li -2.121 6.283 -4.183
Li 0.025 2.131 -2.131
Li -2.121 8.382 -2.083
Li 0.025 4.231 -0.031
V -2.089 2.105 -0.001
V -4.178 6.304 2.092
V 2.081 6.306 -4.210
V -0.008 8.413 -4.208
```

Magnetization in μB/f.u.: 0.0
ρ in Mg/m³: 3.5
V in A^3/atom: 9.22

--- y ---
Here is a relaxed Li2VO2F crystal from the Materials Project. Energies are from PBE with a Hubbard U.

Geometry as extended XYZ:
```
24
Lattice="5.604 -1.574 1.011 0.848 1.728 6.386 0.902 -5.604 3.466" Properties=species:S:1:pos:R:3 pbc="T T T"
Li 2.776 -3.636 4.741
Li 4.634 -4.030 2.529
Li 1.828 -3.243 2.021
Li 3.699 -4.057 7.488
Li 6.501 -4.844 7.997
Li 4.555 -1.882 6.163
Li 5.574 -4.424 5.245
Li 1.754 -1.095 5.660
O 0.982 -1.513 0.948
O 3.623 -5.367 5.816
O 1.853 -1.974 3.774
O 3.600 -3.179 9.374
O 3.783 -2.297 1.453
O 6.402 -3.960 9.884
O 6.426 -6.156 6.321
O 4.654 -2.764 4.276
V 0.870 -0.540 2.787
V 3.672 -1.327 3.291
V 3.735 -6.340 3.975
V 0.932 -5.552 3.472
F 5.528 -3.363 7.080
F 2.726 -2.576 6.574
F 3.678 -0.168 5.092
F 0.872 0.621 4.590
```

Magnetization in μB/f.u.: 0.0
ρ in Mg/m³: 3.4
V in A^3/atom: 9.30

--- z ---
Here is a relaxed Li2VO2F crystal from the Materials Project. Energies are from PBE with a Hubbard U.

Geometry as extended XYZ:
```
24
Lattice="3.024 0.000 0.000 0.008 7.363 0.000 0.021 0.180 10.412" Properties=species:S:1:pos:R:3 pbc="T T T"
Li 1.508 0.979 0.780
Li 1.526 1.214 6.004
Li 0.025 1.164 8.798
Li 1.539 6.635 9.803
Li 0.021 6.390 6.904
Li 1.526 6.252 4.282
Li 0.009 1.208 3.392
Li 3.032 6.343 1.614
O 1.513 2.653 4.377
O 1.560 4.787 0.885
O 0.059 2.629 1.810
O 3.021 0.027 0.006
O 3.025 4.881 3.506
O 1.511 2.885 9.519
O 1.494 4.883 6.108
O 3.022 2.631 6.937
F 0.029 4.958 8.570
F 1.517 0.055 2.709
F 3.042 7.448 5.199
F 1.534 7.470 7.692
V 3.012 3.775 5.194
V 1.543 3.673 7.717
V 3.025 3.644 0.091
V 1.543 3.749 2.636
```

Magnetization in μB/f.u.: 2.0
ρ in Mg/m³: 3.3
V in A^3/atom: 9.66
Space group: No. 1

Relative energies in meV/atom: w 5; x 0; y 53; z 98

--- w ---
Here is a relaxed Li3V2O4F2 crystal from the Materials Project. Energies are from PBE with a Hubbard U.

Geometry as extended XYZ:
```
44
Lattice="-2.307 0.437 5.515 3.100 -1.968 4.737 6.207 13.426 1.630" Properties=species:S:1:pos:R:3 pbc="T T T"
F 5.459 8.606 11.336
F 6.268 11.375 8.401
F 6.502 8.474 8.660
F 7.362 10.990 5.602
F 5.815 12.038 3.197
F 4.062 9.559 9.011
F 4.625 12.207 5.995
F 5.011 9.197 6.394
O 3.771 7.064 4.371
O 0.790 2.668 8.223
O 2.657 7.289 7.023
O 1.304 0.114 8.715
O 5.275 6.124 6.647
O 3.382 1.515 7.851
O 1.886 2.441 5.562
O 3.149 4.649 7.516
O 4.169 6.313 9.459
O 2.780 5.501 2.314
O 4.385 4.463 4.851
O 0.878 0.850 3.475
O 2.426 -0.135 6.007
O 1.520 3.254 0.507
O -0.237 1.050 6.390
O 1.592 5.705 5.253
Li 5.879 9.996 9.958
Li 6.315 12.046 6.647
Li 4.912 13.097 4.398
Li 4.069 10.934 7.618
Li 5.997 8.369 5.093
Li 7.451 11.968 4.033
Li 2.735 3.209 9.089
Li 3.902 2.961 6.353
Li 3.467 9.495 5.457
Li 4.815 8.249 7.963
Li 7.172 9.553 7.172
Li 1.159 4.181 6.747
V 3.161 6.828 0.857
V 3.466 5.888 5.891
V 1.947 6.892 3.564
V 0.025 2.232 4.752
V 1.544 1.174 7.101
V 4.625 5.701 3.179
V 1.170 1.978 2.020
V 2.735 1.027 4.362
```

Magnetization in μB/f.u.: 3.0
ρ in Mg/m³: 3.2
V in A^3/atom: 10.49
Space group: No. 8

--- x ---
Here is a relaxed Li3V2O4F2 crystal from the Materials Project. Energies are from PBE with a Hubbard U.

Geometry as extended XYZ:
```
22
Lattice="-4.492 -0.171 2.391 1.761 7.524 0.329 -2.871 0.914 -5.336" Properties=species:S:1:pos:R:3 pbc="T T T"
O -1.506 0.968 0.953
O -4.341 1.031 0.757
O -2.690 6.844 -0.933
O -1.269 7.230 -3.369
O -2.920 1.419 -1.679
O 0.153 6.653 -0.711
O -5.762 1.609 -1.901
O -4.105 7.295 -3.564
F -5.041 4.049 -0.115
F -3.389 4.239 -2.733
F -2.203 4.029 0.113
F -3.606 3.594 2.553
V -1.198 7.664 0.188
V -1.115 8.435 -5.004
V 0.321 7.979 -2.337
V -4.411 0.600 -2.801
Li -5.024 3.628 -3.713
Li -3.589 3.172 -1.050
Li -1.862 3.552 -3.673
Li -0.567 4.645 1.093
Li -2.000 5.100 -1.571
Li -3.730 4.722 1.052
```

Magnetization in μB/f.u.: 1.0
ρ in Mg/m³: 3.2
V in A^3/atom: 10.72
Space group: No. 1

--- y ---
Here is a relaxed Li3V2O4F2 crystal from the Materials Project. Energies are from PBE with a Hubbard U.

Geometry as extended XYZ:
```
44
Lattice="-5.824 -1.030 0.998 1.234 -4.000 3.074 0.396 9.083 11.682" Properties=species:S:1:pos:R:3 pbc="T T T"
F -3.616 6.377 12.487
F -0.612 -2.018 3.295
F -0.649 6.589 11.957
F -5.552 -0.968 2.475
F -3.482 -2.838 3.765
F -4.410 4.001 14.267
F -1.549 4.503 13.777
F -2.693 -0.459 1.986
O -4.057 5.877 9.308
O -2.140 -0.079 5.160
O -1.959 4.149 10.578
O -3.183 1.920 9.769
O -0.195 -1.850 6.435
O 0.654 0.379 4.763
O -1.238 6.390 8.846
O -2.396 4.176 7.913
O 0.796 4.672 10.024
O -0.483 2.443 9.271
O -3.012 -2.332 6.939
O -1.656 -0.098 7.817
O 1.183 0.322 7.372
O -0.979 2.093 6.015
O -3.706 1.657 6.448
O 0.403 4.753 7.392
Li -0.258 4.891 12.565
Li -2.422 -2.538 2.058
Li -4.360 -0.771 0.747
Li 1.083 -2.211 4.100
Li -2.087 2.028 7.876
Li -5.075 -3.007 2.513
Li -1.028 -0.324 2.691
Li -4.219 3.761 6.598
Li -1.217 4.291 6.084
Li -1.797 -2.703 4.608
Li 0.528 7.290 10.659
Li -2.352 6.764 11.138
V -2.583 1.791 4.843
V 0.331 2.353 4.413
V -0.765 4.423 9.061
V -0.501 0.147 6.191
V 1.282 2.727 10.346
V -1.625 2.259 10.914
V -3.688 3.927 9.516
V -3.402 -0.386 6.735
```

Magnetization in μB/f.u.: 3.0
ρ in Mg/m³: 3.2
V in A^3/atom: 10.48
Space group: No. 3

--- z ---
Here is a relaxed Li3V2O4F2 crystal from the Materials Project. Energies are from PBE with a Hubbard U.

Geometry as extended XYZ:
```
33
Lattice="4.468 2.566 0.000 -4.468 2.566 0.000 0.000 0.181 14.853" Properties=species:S:1:pos:R:3 pbc="T T T"
V 1.460 1.005 12.368
V -1.460 1.005 12.368
V 0.000 1.740 2.507
V -1.460 4.309 2.485
V 0.000 3.574 12.346
V 1.460 4.309 2.485
O -1.524 0.922 1.402
O 0.000 5.166 11.340
O 1.498 2.572 3.491
O 0.000 1.983 13.464
O 1.498 2.741 11.362
O 1.524 4.392 13.451
O 0.000 0.147 3.513
O -1.524 4.392 13.451
O 0.000 3.331 1.388
O -1.498 2.572 3.491
O 1.524 0.922 1.402
O -1.498 2.741 11.362
Li -1.494 4.374 9.516
Li 1.494 4.374 9.516
Li 1.494 0.939 5.337
Li -1.489 2.566 0.000
Li 1.403 2.657 7.426
Li 1.489 2.566 0.000
Li 0.000 0.090 7.426
Li -1.494 0.939 5.337
Li -1.403 2.657 7.426
F 0.000 3.631 8.563
F 0.000 1.683 6.290
F 2.875 1.857 6.244
F 2.875 3.457 8.609
F -2.875 1.857 6.244
F -2.875 3.457 8.609
```

Magnetization in μB/f.u.: 3.0
ρ in Mg/m³: 3.3
V in A^3/atom: 10.32
Space group: No. 12

Relative energies in meV/atom: w 42; x 0; y 36; z 22